Computed, not measured: a relaxed NbO2F crystal at the PBE-GGA level of DFT.

Calculated values
Formation energy, eV per atom: -3.1202

Cell lengths 5.5628, 5.6791, 13.8383 Å; angles 92.80, 89.19, 118.48 degrees
Sites, in units of the cell vectors:
O: 0.6681 0.8340 0.6662
O: 0.3319 0.1660 0.3338
O: 0.0000 0.5000 0.5000
O: 0.8275 0.1639 0.3339
O: 0.1543 0.8238 0.1671
O: 0.6665 0.8340 0.1688
O: 0.1725 0.8361 0.6661
O: 0.8457 0.1762 0.8329
O: 0.5000 0.5000 0.0000
O: 0.3335 0.1660 0.8312
O: 0.5000 0.5000 0.5000
O: 0.5000 0.0000 0.0000
F: 0.8360 0.6678 0.8339
F: 0.1672 0.3326 0.6662
F: 0.0000 0.5000 0.0000
F: 0.1640 0.3322 0.1661
F: 0.5000 0.0000 0.5000
F: 0.8328 0.6674 0.3338
Nb: 0.6775 0.3388 0.4167
Nb: 0.9719 0.9835 0.7505
Nb: 0.0281 0.0165 0.2495
Nb: 0.6218 0.2929 0.9176
Nb: 0.3782 0.7071 0.0824
Nb: 0.3225 0.6612 0.5833